Record 1
A plane-wave DFT calculation with PBE+U was carried out for a relaxed Li4MnCo3O8 crystal.

Summary:
Offset from the most stable computed form in meV per atom: 18
Total moment in μB/f.u.: 6.000
E_form in meV/atom: -1778
Mass density in g/cm³: 4.4
E in eV/atom: -5.88

POSCAR file:
```
Li4MnCo3O8
1.0
5.015 0.000 0.000
-1.505 4.867 0.000
-0.215 -0.197 6.032
Li Mn O Co
4 1 8 3
direct
0.500 0.500 0.248
0.500 0.500 0.752
0.000 0.500 0.500
0.000 0.500 0.000
0.500 0.000 0.500
0.751 0.230 0.225
0.247 0.227 0.506
0.249 0.770 0.266
0.751 0.230 0.734
0.249 0.770 0.775
0.749 0.778 0.994
0.251 0.222 0.006
0.753 0.773 0.494
0.999 0.000 0.247
0.001 0.000 0.753
0.500 0.000 0.000
```



Record 2
A plane-wave DFT calculation with PBE+U was carried out for a relaxed Li7Mn4CoO12 crystal.

Summary:
Offset from the most stable computed form in meV per atom: 45
Total moment in μB/f.u.: 14.000
E_form in meV/atom: -2039
Mass density in g/cm³: 3.9
E in eV/atom: -6.20

POSCAR file:
```
Li7Mn4CoO12
1.0
2.877 0.000 0.000
0.000 5.200 0.000
0.000 0.499 14.608
O Li Mn Co
12 7 4 1
direct
0.500 0.193 0.414
0.000 0.006 0.241
0.000 0.966 0.740
0.500 0.491 0.258
0.500 0.153 0.925
0.000 0.361 0.585
0.500 0.511 0.742
0.000 0.296 0.086
0.500 0.812 0.591
0.000 0.676 0.424
0.500 0.839 0.071
0.000 0.694 0.923
0.500 0.162 0.671
0.000 0.002 0.501
0.000 0.334 0.834
0.000 0.665 0.166
0.500 0.833 0.335
0.500 0.832 0.832
0.500 0.505 0.994
0.000 0.980 0.992
0.500 0.158 0.165
0.000 0.343 0.336
0.000 0.675 0.672
0.500 0.511 0.503
```



Record 3
A plane-wave DFT calculation with PBE+U was carried out for a relaxed Li5Mn2CoO8 crystal.

Summary:
Offset from the most stable computed form in meV per atom: 83
Total moment in μB/f.u.: 6.000
E_form in meV/atom: -1951
Mass density in g/cm³: 3.8
E in eV/atom: -5.96

POSCAR file:
```
Li5Mn2CoO8
1.0
-0.032 -2.174 -1.954
-1.945 -3.173 3.562
-9.648 1.342 -1.336
O Li Co Mn
8 5 1 2
direct
0.500 0.901 0.885
0.500 0.593 0.641
0.000 0.344 0.869
0.000 0.137 0.645
0.000 0.660 0.116
0.500 0.109 0.106
0.500 0.392 0.365
0.000 0.876 0.366
0.000 0.507 0.498
0.000 0.248 0.266
0.000 0.745 0.736
0.500 0.505 0.010
0.500 0.002 0.483
0.500 0.724 0.270
0.000 0.996 0.001
0.500 0.262 0.743
```



Record 4
A plane-wave DFT calculation with PBE+U was carried out for a relaxed Li4MnCo2O7 crystal.

Summary:
Offset from the most stable computed form in meV per atom: 49
Total moment in μB/f.u.: 4.272
E_form in meV/atom: -1835
Mass density in g/cm³: 4.2
E in eV/atom: -5.83

POSCAR file:
```
Li4MnCo2O7
1.0
-4.988 8.736 2.254
0.053 -9.924 -2.789
-1.952 -1.729 4.446
Mn Li Co O
2 8 4 14
direct
0.999 0.001 0.000
0.574 0.426 0.000
0.074 0.926 0.500
0.213 0.787 0.500
0.499 0.501 0.500
0.783 0.217 0.500
0.715 0.285 0.000
0.356 0.644 0.500
0.926 0.074 0.500
0.648 0.352 0.500
0.145 0.855 0.000
0.280 0.720 0.000
0.428 0.572 0.000
0.855 0.145 0.000
0.558 0.972 0.228
0.823 0.679 0.216
0.109 0.392 0.211
0.028 0.442 0.772
0.321 0.177 0.784
0.281 0.281 0.233
0.385 0.107 0.221
0.893 0.615 0.779
0.153 0.298 0.772
0.719 0.719 0.767
0.608 0.891 0.789
0.985 0.560 0.241
0.702 0.847 0.228
0.440 0.015 0.759
```



Record 5
A plane-wave DFT calculation with PBE+U was carried out for a relaxed Li7Mn2Co3O12 crystal.

Summary:
Offset from the most stable computed form in meV per atom: 67
Total moment in μB/f.u.: 2.988
E_form in meV/atom: -1867
Mass density in g/cm³: 4.1
E in eV/atom: -5.86

POSCAR file:
```
Li7Mn2Co3O12
1.0
-2.779 -4.318 0.551
-2.344 4.249 9.448
-7.185 4.626 -0.002
O Co Li Mn
24 6 14 4
direct
0.545 0.392 0.653
0.954 0.608 0.545
0.090 0.392 0.471
0.163 0.116 0.773
0.666 0.120 0.606
0.334 0.880 0.726
0.954 0.608 0.180
0.046 0.392 0.153
0.545 0.392 0.289
0.455 0.608 0.045
0.334 0.879 0.394
0.910 0.608 0.863
0.174 0.117 0.109
0.334 0.880 0.058
0.666 0.120 0.938
0.826 0.883 0.225
0.455 0.608 0.681
0.589 0.392 0.971
0.047 0.392 0.788
0.666 0.120 0.273
0.411 0.608 0.363
0.160 0.117 0.445
0.840 0.883 0.563
0.837 0.884 0.889
0.250 0.500 0.245
0.750 0.500 0.088
0.000 0.000 0.667
0.500 0.000 0.164
0.250 0.500 0.588
0.750 0.500 0.745
0.250 0.500 0.917
0.622 0.745 0.456
0.868 0.259 0.038
0.369 0.258 0.537
0.873 0.253 0.377
0.377 0.255 0.877
0.631 0.742 0.796
0.750 0.500 0.417
0.127 0.747 0.630
0.623 0.745 0.132
0.378 0.255 0.202
0.873 0.254 0.702
0.132 0.741 0.297
0.127 0.746 0.956
0.500 0.000 0.833
0.500 0.000 0.499
0.000 0.000 0.999
0.000 0.000 0.337
```



Record 6
A plane-wave DFT calculation with PBE+U was carried out for a relaxed Li7Mn2Co3O12 crystal.

Summary:
Offset from the most stable computed form in meV per atom: 78
Total moment in μB/f.u.: 8.000
E_form in meV/atom: -1855
Mass density in g/cm³: 4.1
E in eV/atom: -5.85

POSCAR file:
```
Li7Mn2Co3O12
1.0
-1.775 -1.235 2.046
5.107 -5.587 -0.823
5.850 4.802 6.158
Li O Co Mn
7 12 3 2
direct
0.429 0.087 0.752
0.594 0.920 0.251
0.254 0.249 0.253
0.906 0.579 0.254
0.734 0.738 0.744
0.517 0.504 0.510
0.078 0.421 0.739
0.865 0.354 0.384
0.477 0.273 0.613
0.183 0.042 0.389
0.062 0.205 0.884
0.288 0.464 0.118
0.941 0.794 0.117
0.333 0.867 0.883
0.764 0.956 0.602
0.714 0.536 0.884
0.566 0.726 0.391
0.134 0.643 0.618
0.666 0.134 0.117
0.328 0.665 0.001
0.836 0.180 0.495
0.673 0.336 0.999
0.000 0.000 0.000
0.159 0.827 0.501
```



Record 7
A plane-wave DFT calculation with PBE+U was carried out for a relaxed Li3MnCoO5 crystal.

Summary:
Offset from the most stable computed form in meV per atom: 2
Total moment in μB/f.u.: 3.000
E_form in meV/atom: -1957
Mass density in g/cm³: 4.0
E in eV/atom: -5.96

POSCAR file:
```
Li3MnCoO5
1.0
0.444 -5.483 -5.318
2.638 1.763 6.962
-2.740 -3.518 2.565
Li O Co Mn
6 10 2 2
direct
0.500 0.500 0.000
0.000 0.000 0.500
0.402 0.598 0.500
0.598 0.402 0.500
0.801 0.199 0.500
0.199 0.801 0.500
0.656 0.867 0.774
0.569 0.958 0.227
0.867 0.656 0.774
0.344 0.133 0.226
0.042 0.431 0.773
0.782 0.782 0.227
0.133 0.344 0.226
0.958 0.569 0.227
0.431 0.042 0.773
0.218 0.218 0.773
0.694 0.306 0.000
0.306 0.694 0.000
0.901 0.099 0.000
0.099 0.901 0.000
```



Record 8
A plane-wave DFT calculation with PBE+U was carried out for a relaxed Li4Mn3CoO8 crystal.

Summary:
Offset from the most stable computed form in meV per atom: 32
Total moment in μB/f.u.: 15.981
E_form in meV/atom: -1996
Mass density in g/cm³: 4.2
E in eV/atom: -6.35

POSCAR file:
```
Li4Mn3CoO8
1.0
3.075 0.000 0.000
0.000 6.071 0.000
0.000 0.079 8.089
Li O Mn Co
4 8 3 1
direct
0.500 0.249 0.249
0.000 0.000 0.500
0.000 0.500 0.000
0.500 0.751 0.751
0.500 0.237 0.988
0.000 0.508 0.262
0.000 0.004 0.763
0.000 0.996 0.237
0.000 0.492 0.738
0.500 0.257 0.513
0.500 0.763 0.012
0.500 0.743 0.487
0.500 0.247 0.751
0.500 0.753 0.249
0.000 0.500 0.500
0.000 0.000 0.000
```



> What is the formula in the second record?

Li7Mn4CoO12



Copy entry 7 word for word.
A plane-wave DFT calculation with PBE+U was carried out for a relaxed Li3MnCoO5 crystal.

Summary:
Offset from the most stable computed form in meV per atom: 2
Total moment in μB/f.u.: 3.000
E_form in meV/atom: -1957
Mass density in g/cm³: 4.0
E in eV/atom: -5.96

POSCAR file:
```
Li3MnCoO5
1.0
0.444 -5.483 -5.318
2.638 1.763 6.962
-2.740 -3.518 2.565
Li O Co Mn
6 10 2 2
direct
0.500 0.500 0.000
0.000 0.000 0.500
0.402 0.598 0.500
0.598 0.402 0.500
0.801 0.199 0.500
0.199 0.801 0.500
0.656 0.867 0.774
0.569 0.958 0.227
0.867 0.656 0.774
0.344 0.133 0.226
0.042 0.431 0.773
0.782 0.782 0.227
0.133 0.344 0.226
0.958 0.569 0.227
0.431 0.042 0.773
0.218 0.218 0.773
0.694 0.306 0.000
0.306 0.694 0.000
0.901 0.099 0.000
0.099 0.901 0.000
```